Computed, not measured: a relaxed structure of Tc3Ni at the PBE-GGA level of DFT.

POSCAR file:
```
Tc3Ni
1.0
5.384 0.000 0.000
-2.692 4.663 0.000
0.000 0.000 4.334
Tc Ni
6 2
Direct
0.166 0.333 0.250 Tc
0.166 0.834 0.250 Tc
0.333 0.166 0.750 Tc
0.667 0.834 0.250 Tc
0.834 0.166 0.750 Tc
0.834 0.667 0.750 Tc
0.333 0.667 0.750 Ni
0.667 0.333 0.250 Ni
```

Values from the calculation:
As for the energy relative to the elements: -0.104 eV per atom.

***

Computed, not measured: a relaxed structure of TcNi at the PBE-GGA level of DFT.

POSCAR file:
```
TcNi
1.0
2.654 0.000 0.000
-1.327 2.299 0.000
0.000 0.000 4.201
Tc Ni
1 1
Direct
0.000 0.000 0.000 Tc
0.333 0.667 0.500 Ni
```

Values from the calculation:
As for the energy relative to the elements: 0.073 eV per atom. Its total moment is 0.01 μB/f.u.

***

Computed, not measured: a relaxed structure of TcNiW at the PBE-GGA level of DFT.

POSCAR file:
```
TcNiW
1.0
0.000 2.918 2.918
2.918 0.000 2.918
2.918 2.918 0.000
Tc Ni W
1 1 1
Direct
0.000 0.000 0.000 Tc
0.500 0.500 0.500 Ni
0.250 0.250 0.250 W
```

Values from the calculation:
As for the energy relative to the elements: 0.655 eV per atom. Its total moment is 0.01 μB/f.u.

***

Computed, not measured: a relaxed structure of Ni3Te2 at the PBE-GGA level of DFT.

POSCAR file:
```
Ni3Te2
1.0
6.103 0.000 0.000
0.000 3.804 0.000
-0.210 0.000 7.534
Ni Te
6 4
Direct
0.006 0.250 0.123 Ni
0.008 0.750 0.371 Ni
0.290 0.750 0.635 Ni
0.710 0.250 0.365 Ni
0.992 0.250 0.629 Ni
0.994 0.750 0.877 Ni
0.281 0.250 0.881 Te
0.287 0.250 0.382 Te
0.713 0.750 0.618 Te
0.719 0.750 0.119 Te
```

Values from the calculation:
As for the energy relative to the elements: -0.344 eV per atom.

***

Computed, not measured: a relaxed structure of NiTe2 at the PBE-GGA level of DFT.

POSCAR file:
```
NiTe2
1.0
6.395 0.000 0.000
0.000 6.395 0.000
0.000 0.000 6.395
Ni Te
4 8
Direct
0.000 0.000 0.000 Ni
0.000 0.500 0.500 Ni
0.500 0.000 0.500 Ni
0.500 0.500 0.000 Ni
0.138 0.638 0.862 Te
0.138 0.862 0.362 Te
0.362 0.138 0.862 Te
0.362 0.362 0.362 Te
0.638 0.638 0.638 Te
0.638 0.862 0.138 Te
0.862 0.138 0.638 Te
0.862 0.362 0.138 Te
```

Values from the calculation:
As for the energy relative to the elements: -0.457 eV per atom.

***

Computed, not measured: a relaxed structure of Ni3Te4 at the PBE-GGA level of DFT.

POSCAR file:
```
Ni3Te4
1.0
6.256 -2.007 0.000
6.256 2.007 0.000
-3.585 0.000 5.723
Ni Te
3 4
Direct
0.000 0.000 0.000 Ni
0.252 0.252 0.241 Ni
0.748 0.748 0.759 Ni
0.125 0.125 0.784 Te
0.371 0.371 0.703 Te
0.629 0.629 0.297 Te
0.875 0.875 0.216 Te
```

Values from the calculation:
As for the energy relative to the elements: -0.447 eV per atom.